[1]
The following is a PBE+U calculation of an optimized crystal structure of Li9Mn2Co5O16, from the Materials Project.

The value obtained for the total magnetization is 0.2500 μB per atom. As for the calculated total energy: -5.82 eV per atom. The energy above the lowest structure with this stoichiometry is 0.0395 eV per atom.

```
Li9Mn2Co5O16
1.0
5.1091 0.0000 0.0000
-0.0952 5.9083 0.0000
-1.8148 -2.5523 9.5470
Li Mn Co O
9 2 5 16
Cartesian
0.0000 0.0000 0.0000
-1.8543 0.3661 9.5083
0.7230 4.4688 2.3217
0.8757 1.5613 2.3018
1.5863 3.1266 4.7567
1.6950 0.1515 4.7077
2.3844 1.7906 7.2062
3.3225 3.0395 2.3531
2.4777 -1.1986 7.1735
-0.9230 1.6205 4.6974
-0.9658 4.5677 4.7170
-0.1647 3.2329 7.1356
-0.0759 0.2765 7.1544
2.4760 4.3846 0.0620
2.5590 1.5009 0.0252
3.4010 0.0474 2.3609
-0.1308 -0.0285 3.5129
-0.1647 3.1226 3.7162
-0.9130 1.8596 8.2162
-0.8595 -1.0582 8.3399
0.6622 -1.3167 5.9690
0.6687 1.5836 5.9161
1.6498 3.0316 1.0716
1.8365 0.0312 1.2323
1.3435 3.2703 8.3214
1.5325 0.3735 8.3882
2.6711 1.4459 3.4847
2.6149 4.6336 3.5558
4.0874 1.3849 1.2010
4.0394 4.6430 1.2484
3.3807 3.2621 5.9454
3.4765 0.1276 5.8003
```


[2]
The following is a PBE+U calculation of an optimized crystal structure of LiMn3B3O9, from the Materials Project.

The value obtained for the total magnetization is 0.8125 μB per atom. As for the calculated total energy: -7.56 eV per atom. The energy above the lowest structure with this stoichiometry is 0.0152 eV per atom.

```
LiMn3B3O9
1.0
5.3349 0.0000 0.0000
0.1493 5.7832 0.0000
2.2187 0.6120 12.0403
Li Mn B O
2 6 6 18
Cartesian
0.0000 0.0000 0.0000
2.5964 2.1275 4.0337
2.2127 5.2288 9.1938
1.7278 0.9243 6.4557
2.5352 1.0974 1.2411
4.3712 3.1435 10.4501
5.1267 3.2148 5.3697
4.6532 4.6419 2.5423
2.5311 3.8577 6.5238
1.9071 3.9964 1.0697
5.0787 6.0233 10.6042
4.3438 0.3188 5.1438
5.2613 1.7903 2.5262
6.8885 2.3692 9.1591
0.5782 4.1771 0.9838
1.8135 4.7534 7.3274
2.3593 3.3411 9.7597
2.1985 1.2903 8.5262
1.8193 3.0275 5.6511
1.2959 1.7316 2.6346
3.0128 0.4638 4.9434
4.2089 1.2859 11.2505
4.2854 5.0551 9.9998
2.7602 4.9480 1.6562
2.5426 2.8917 0.4517
3.8741 3.7894 6.6612
5.5376 2.4621 9.1111
4.5169 2.6525 3.3417
5.1210 1.2866 5.7952
5.1909 5.0104 4.5802
4.5791 0.9399 1.6523
6.4365 5.9473 10.6901
```


[3]
The following is a PBE+U calculation of an optimized crystal structure of Fe5P6WO24, from the Materials Project.

The value obtained for the total magnetization is 0.6667 μB per atom. As for the calculated total energy: -7.20 eV per atom.

```
Fe5P6WO24
1.0
4.3535 2.5135 6.9553
-4.3535 2.5135 6.9553
0.0000 -5.0270 6.9553
Fe P W O
5 6 1 24
Cartesian
0.0000 0.0000 0.0000
0.0000 0.0000 2.9068
0.0000 0.0000 7.3333
0.0000 0.0000 10.3324
0.0000 0.0000 13.3012
-3.0533 -0.2874 8.5370
-1.2342 -2.8162 12.0552
1.7755 -2.5005 8.5370
-1.8218 2.4770 12.0552
1.2778 2.7879 8.5370
3.0560 0.3393 12.0552
0.0000 0.0000 17.7838
-3.7029 1.1173 8.4338
-2.8280 -2.6170 12.1761
-0.8540 -1.4790 6.3733
-0.9042 -3.5829 10.7824
-1.5278 -0.1649 8.7622
0.8839 -3.7654 8.4338
-0.8538 1.4791 6.3733
-2.6508 2.5745 10.7824
-0.6549 -1.3868 11.9058
0.9067 -1.2407 8.7622
-1.6955 0.0739 14.2669
1.7078 -0.0001 6.3733
-0.8736 1.2606 11.9058
0.6211 1.4056 8.7622
-1.6875 -0.0692 16.7977
0.7838 -1.5053 14.2669
-0.8524 3.7576 12.1761
1.5285 0.1263 11.9058
0.9037 -1.4268 16.7977
0.9117 1.4314 14.2669
2.8190 2.6482 8.4338
3.6804 -1.1406 12.1761
3.5550 1.0084 10.7824
0.7838 1.4960 16.7977
```


[4]
The following is a PBE+U calculation of an optimized crystal structure of NaCrO3, from the Materials Project.

The value obtained for the total magnetization is 0.2000 μB per atom. As for the calculated total energy: -6.06 eV per atom.

```
NaCrO3
1.0
3.7481 0.0000 0.0000
0.0000 3.7481 0.0000
0.0000 0.0000 3.7481
Na Cr O
1 1 3
Cartesian
0.0000 0.0000 0.0000
1.8740 1.8740 1.8740
0.0000 1.8740 1.8740
1.8740 0.0000 1.8740
1.8740 1.8740 0.0000
```


[5]
The following is a PBE+U calculation of an optimized crystal structure of Zn11Fe25O48, from the Materials Project.

The value obtained for the total magnetization is 1.4762 μB per atom. As for the calculated total energy: -6.17 eV per atom.

```
Zn11Fe25O48
1.0
5.2349 -9.0856 0.0000
5.2349 9.0856 0.0000
-3.4965 0.0000 9.8897
Zn Fe O
11 25 48
Cartesian
0.0000 0.0000 0.0000
3.4781 6.0695 1.2439
3.4927 6.0585 4.9172
1.7453 3.0215 6.1658
1.7404 3.0228 9.8893
3.4965 0.0000 1.2535
3.4912 0.0000 4.9200
1.7453 -3.0215 6.1658
1.7404 -3.0228 9.8893
3.4781 -6.0695 1.2439
3.4927 -6.0585 4.9172
1.7391 3.0279 0.6157
0.8670 1.5156 3.0808
-0.8639 1.5301 8.0336
1.7485 6.0452 8.0315
0.0174 0.0000 5.5267
0.8670 -1.5156 3.0808
3.4853 3.0116 3.0873
-0.8639 -1.5301 8.0336
1.7391 -3.0279 0.6157
4.3577 4.5306 8.0115
6.1074 4.5397 3.0888
1.7467 0.0000 8.0458
5.2303 3.0311 5.5392
3.4853 -3.0116 3.0873
4.3298 1.5018 8.0452
6.1013 1.5179 3.0793
6.9662 0.0000 0.6230
4.3298 -1.5018 8.0452
6.1013 -1.5179 3.0793
1.7485 -6.0452 8.0315
5.2303 -3.0311 5.5392
6.9650 0.0000 6.1723
4.3577 -4.5306 8.0115
8.7281 0.0000 3.0367
6.1074 -4.5397 3.0888
0.8052 4.6804 6.8309
2.5438 4.4066 1.9059
0.0011 0.0000 1.9911
-1.6693 0.0000 6.8035
-0.1575 3.0373 9.2100
1.7401 3.0248 4.1634
4.4410 7.7020 4.2655
2.6868 7.4421 9.2019
2.5380 1.6389 1.8975
0.7700 1.3825 6.8254
3.4874 6.0568 6.9389
5.3756 6.0526 1.9016
1.6116 0.0000 4.2530
-0.0263 0.0000 9.1090
2.6824 4.6716 9.2059
4.4289 4.4106 4.2642
0.7700 -1.3825 6.8254
2.5380 -1.6389 1.8975
5.2303 3.0244 2.0081
3.6447 3.0244 6.8215
-0.1575 -3.0373 9.2100
1.7401 -3.0248 4.1634
4.4292 1.6416 4.2815
2.6600 1.4357 9.1350
2.5438 -4.4066 1.9059
0.8052 -4.6804 6.8309
3.4843 0.0000 6.9272
5.3317 0.0000 1.9983
6.8338 3.0339 4.2790
5.2361 3.0239 9.0979
2.6600 -1.4357 9.1350
4.4292 -1.6416 4.2815
6.0656 1.5959 6.8040
7.7870 1.4319 1.9960
5.2303 -3.0244 2.0081
3.6447 -3.0244 6.8215
5.1252 0.0000 9.1410
4.4289 -4.4106 4.2642
6.9753 0.0000 4.2453
2.6824 -4.6716 9.2059
7.7870 -1.4319 1.9960
6.0656 -1.5959 6.8040
3.4874 -6.0568 6.9389
5.3756 -6.0526 1.9016
6.8338 -3.0339 4.2790
5.2361 -3.0239 9.0979
2.6868 -7.4421 9.2019
4.4410 -7.7020 4.2655
```


[6]
The following is a PBE+U calculation of an optimized crystal structure of Fe3P2H8O12, from the Materials Project.

The value obtained for the total magnetization is 0.4800 μB per atom. As for the calculated total energy: -6.12 eV per atom.

```
Fe3P2H8O12
1.0
9.3935 0.0000 0.0000
0.0000 4.7229 0.0000
-1.9147 0.0000 10.5110
Fe P H O
6 4 16 24
Cartesian
0.0000 0.0000 0.0000
-0.9574 2.3615 5.2555
2.7640 0.3293 1.8092
1.8067 2.0322 7.0647
5.6721 2.6907 3.4463
4.7147 4.3936 8.7018
0.4077 2.5099 10.0062
1.3651 4.5744 4.7507
6.1137 0.1485 5.7603
7.0710 2.2130 0.5048
-0.6602 0.3306 6.7945
0.2972 2.0309 1.5390
0.3480 0.9941 2.7718
-0.6094 1.3673 8.0273
3.0396 2.6555 3.4734
2.0822 4.4288 8.7289
2.4425 1.0168 9.5337
3.3999 1.3447 4.2782
4.0789 3.3782 6.2328
5.0363 3.7061 0.9773
5.3965 0.2941 1.7822
4.4392 2.0674 7.0377
8.0882 3.3556 2.4837
7.1308 3.7288 7.7392
7.1816 2.6920 8.9720
8.1390 4.3923 3.7165
0.1391 0.7194 4.2736
-0.8183 1.6421 9.5291
0.6327 1.1337 1.7981
-0.3247 1.2277 7.0536
0.8408 3.3956 5.6208
1.7982 3.6888 0.3653
1.1359 3.0554 8.7425
2.0932 4.0289 3.4870
2.3450 0.7157 5.5857
3.3024 1.6457 0.3302
2.6846 0.5195 8.7001
3.6420 1.8419 3.4446
3.8368 2.8810 7.0664
4.7941 4.2034 1.8109
4.1764 3.0772 10.1808
5.1337 4.0072 4.9253
5.3855 0.6940 7.0240
6.3429 1.6675 1.7685
5.6806 1.0341 10.1457
6.6379 1.3273 4.8902
7.8034 3.4952 3.4574
6.8461 3.5892 8.7129
8.2971 3.0808 0.9819
7.3397 4.0036 6.2374
```


[7]
The following is a PBE+U calculation of an optimized crystal structure of Li4MnSn3P4O16, from the Materials Project.

The value obtained for the total magnetization is 0.0000 μB per atom. As for the calculated total energy: -6.63 eV per atom.

```
Li4MnSn3P4O16
1.0
-1.1369 1.2336 4.5837
-4.1582 -10.0909 1.3825
12.1449 -4.4232 4.2049
Li Mn Sn P O
8 2 6 8 32
Cartesian
-5.0828 -8.9400 5.8399
0.9900 -11.1517 7.9418
-2.3641 -9.9303 6.7805
3.7088 -12.1413 8.8829
0.3942 -5.6492 4.0713
6.4666 -7.8607 6.1735
9.4072 -8.9312 7.1914
3.3346 -6.7197 5.0892
7.5676 -11.1119 4.8886
1.4957 -8.9011 2.7876
3.1336 -3.2553 4.0001
9.2059 -5.4664 6.1025
-2.3668 -7.8126 4.0939
3.7056 -10.0236 6.1961
-0.7932 -2.3691 5.2902
5.2791 -4.5800 7.3928
-1.0234 -6.3364 1.7756
5.0504 -8.5479 3.8780
0.7815 -0.8149 2.3786
6.8545 -3.0237 4.4799
0.0920 -10.0042 5.6753
6.1646 -12.2155 7.7777
1.7044 -4.9307 6.3627
7.7769 -7.1427 8.4648
-0.6541 -4.8686 2.2545
5.4184 -7.0797 4.3568
2.4510 -5.8577 3.2291
8.5237 -8.0708 5.3309
0.5234 -10.2051 4.2188
6.5963 -12.4163 6.3213
-2.6714 -9.8209 2.8683
3.3999 -12.0304 4.9673
3.5649 -1.1774 4.9418
9.6375 -3.3889 7.0442
0.4992 -0.2576 3.7818
6.5721 -2.4670 5.8833
-1.7312 -5.3107 4.9007
4.3414 -7.5223 7.0029
1.3216 -6.3852 5.9371
7.3941 -8.5969 8.0389
-2.5734 -6.4866 2.0106
3.5006 -8.6987 4.1132
-0.3164 -7.3094 2.7921
5.7580 -9.5198 4.8946
-0.5117 -1.2499 1.6029
5.5611 -3.4603 3.7051
1.7245 -2.0709 2.3772
7.8012 -4.2758 4.4802
-0.9183 -8.8230 5.8528
5.1546 -11.0341 7.9556
1.2845 -9.6257 6.6151
7.3572 -11.8374 8.7178
1.0360 -3.9566 5.3186
7.1078 -6.1678 7.4215
3.2473 -4.7621 6.0846
9.3195 -6.9736 8.1863
```


[8]
The following is a PBE+U calculation of an optimized crystal structure of Li3Fe2Si2O8, from the Materials Project.

The value obtained for the total magnetization is 0.0666 μB per atom. As for the calculated total energy: -6.72 eV per atom. The energy above the lowest structure with this stoichiometry is 0.0104 eV per atom.

```
Li3Fe2Si2O8
1.0
5.2611 0.0000 0.0000
-0.1459 5.2963 0.0000
-0.0346 -0.1601 6.4770
Li Fe Si O
3 2 2 8
Cartesian
0.0000 0.0000 0.0000
0.5255 2.7355 1.6190
3.1852 1.9352 3.2294
3.2037 1.7955 6.4121
5.2111 -0.0354 3.3151
0.5780 2.6410 4.8246
2.4331 4.6296 1.6254
-0.0305 2.0340 3.4123
0.2770 4.2239 4.9105
0.7879 4.7218 1.6096
2.1931 2.2792 4.9087
2.7251 2.9687 1.4895
3.2071 -0.0299 2.9675
3.2318 0.1070 0.3192
5.1266 1.9204 6.1768
```


Calculated calculated volume, 9.01 11.61 12.68 10.53 11.20 9.33 13.03 12.03 A^3/atom (same order as the records).